1.
## Na10Al4Si7Ge4S5O48 (PBE)

Data for a relaxed Na10Al4Si7Ge4S5O48 crystal.

Electronic total energy in eV per atom: -6.457

Unit cell a=8.705 b=14.882 c=21.827 alpha=88.65 beta=89.93 gamma=89.96
Space group P1 (No. 1)
One atom of each set of equivalent atoms:
1 Na 0.000 0.000 0.000
2 Na 0.000 0.333 0.332
3 Na 0.000 0.666 0.664
4 Na 0.126 0.827 0.585
5 Na 0.130 0.492 0.250
6 Na 0.135 0.164 0.920
7 Na 0.138 0.487 0.753
8 Na 0.139 0.161 0.419
9 Na 0.139 0.827 0.088
10 Na 0.267 0.000 0.498
11 Na 0.313 0.010 0.837
12 Na 0.316 0.646 0.838
13 Na 0.318 0.314 0.503
14 Na 0.447 0.479 0.669
15 Na 0.447 0.814 0.005
16 Na 0.450 0.509 0.337
17 Na 0.450 0.843 0.670
18 Na 0.500 0.500 0.000
19 Na 0.622 0.991 0.253
20 Na 0.633 0.327 0.584
21 Na 0.633 0.660 0.422
22 Na 0.636 0.664 0.920
23 Na 0.639 0.326 0.088
24 Na 0.643 0.991 0.753
25 Na 0.814 0.511 0.837
26 Na 0.817 0.146 0.839
27 Na 0.819 0.813 0.503
28 Na 0.947 0.314 0.005
29 Na 0.950 0.647 0.339
30 Na 0.951 0.010 0.336
31 Al 0.121 0.162 0.065
32 Al 0.128 0.835 0.731
33 Al 0.133 0.498 0.400
34 Al 0.134 0.496 0.899
35 Al 0.143 0.164 0.562
36 Al 0.144 0.839 0.233
37 Al 0.621 0.663 0.065
38 Al 0.625 0.334 0.734
39 Al 0.628 0.999 0.397
40 Al 0.634 0.663 0.564
41 Al 0.635 0.995 0.899
42 Al 0.643 0.337 0.233
43 Si 0.269 0.639 0.001
44 Si 0.279 0.305 0.666
45 Si 0.286 0.974 0.334
46 Si 0.342 0.666 0.666
47 Si 0.345 0.004 0.000
48 Si 0.347 0.331 0.332
49 Si 0.426 0.504 0.499
50 Si 0.427 0.834 0.832
51 Si 0.482 0.473 0.834
52 Si 0.483 0.808 0.166
53 Si 0.496 0.140 0.500
54 Si 0.769 0.139 0.001
55 Si 0.779 0.474 0.334
56 Si 0.779 0.810 0.666
57 Si 0.841 0.834 0.331
58 Si 0.845 0.504 0.000
59 Si 0.921 0.004 0.499
60 Si 0.925 0.333 0.831
61 Si 0.983 0.971 0.832
62 Si 0.984 0.307 0.166
63 Si 0.989 0.639 0.500
64 Ge 0.108 0.834 0.437
65 Ge 0.112 0.497 0.103
66 Ge 0.120 0.171 0.772
67 Ge 0.154 0.169 0.272
68 Ge 0.155 0.499 0.602
69 Ge 0.155 0.835 0.938
70 Ge 0.609 0.671 0.770
71 Ge 0.610 0.337 0.438
72 Ge 0.612 0.997 0.104
73 Ge 0.642 0.673 0.272
74 Ge 0.655 0.999 0.600
75 Ge 0.657 0.334 0.938
76 S 0.276 0.021 0.668
77 S 0.278 0.352 0.002
78 S 0.278 0.689 0.334
79 S 0.422 0.166 0.167
80 S 0.487 0.189 0.835
81 S 0.487 0.518 0.168
82 S 0.487 0.852 0.501
83 S 0.771 0.187 0.335
84 S 0.778 0.851 0.002
85 S 0.779 0.517 0.669
86 S 0.844 0.165 0.667
87 S 0.921 0.665 0.167
88 S 0.984 0.353 0.502
89 S 0.986 0.018 0.168
90 S 0.987 0.689 0.835
91 O 0.009 0.409 0.557
92 O 0.009 0.743 0.890
93 O 0.012 0.074 0.224
94 O 0.018 0.580 0.440
95 O 0.019 0.745 0.174
96 O 0.020 0.911 0.775
97 O 0.021 0.582 0.164
98 O 0.024 0.248 0.107
99 O 0.028 0.240 0.829
100 O 0.028 0.422 0.842
101 O 0.034 0.912 0.496
102 O 0.035 0.087 0.512
103 O 0.058 0.929 0.173
104 O 0.059 0.060 0.113
105 O 0.059 0.263 0.509
106 O 0.059 0.597 0.840
107 O 0.060 0.391 0.446
108 O 0.060 0.727 0.779
109 O 0.065 0.595 0.564
110 O 0.068 0.262 0.229
111 O 0.070 0.932 0.896
112 O 0.072 0.074 0.825
113 O 0.073 0.741 0.494
114 O 0.074 0.409 0.161
115 O 0.188 0.073 0.325
116 O 0.191 0.741 0.994
117 O 0.194 0.932 0.397
118 O 0.195 0.592 0.063
119 O 0.196 0.407 0.660
120 O 0.197 0.261 0.728
121 O 0.203 0.391 0.947
122 O 0.203 0.728 0.279
123 O 0.206 0.062 0.613
124 O 0.207 0.261 0.009
125 O 0.207 0.597 0.340
126 O 0.207 0.930 0.673
127 O 0.229 0.243 0.329
128 O 0.230 0.087 0.012
129 O 0.231 0.576 0.663
130 O 0.232 0.912 0.996
131 O 0.233 0.753 0.677
132 O 0.234 0.418 0.342
133 O 0.243 0.246 0.607
134 O 0.250 0.577 0.941
135 O 0.250 0.914 0.276
136 O 0.253 0.075 0.725
137 O 0.258 0.742 0.390
138 O 0.261 0.409 0.056
139 O 0.298 0.817 0.176
140 O 0.301 0.490 0.843
141 O 0.309 0.154 0.509
142 O 0.316 0.849 0.774
143 O 0.317 0.510 0.162
144 O 0.317 0.512 0.440
145 O 0.318 0.174 0.829
146 O 0.319 0.843 0.496
147 O 0.323 0.178 0.113
148 O 0.323 0.806 0.894
149 O 0.324 0.472 0.561
150 O 0.329 0.144 0.224
151 O 0.441 0.309 0.396
152 O 0.441 0.638 0.729
153 O 0.446 0.009 0.663
154 O 0.448 0.343 0.995
155 O 0.448 0.674 0.328
156 O 0.448 0.972 0.059
157 O 0.449 0.014 0.939
158 O 0.456 0.654 0.009
159 O 0.459 0.348 0.275
160 O 0.459 0.683 0.610
161 O 0.465 0.320 0.676
162 O 0.465 0.988 0.344
163 O 0.504 0.908 0.558
164 O 0.508 0.243 0.890
165 O 0.512 0.573 0.224
166 O 0.515 0.073 0.444
167 O 0.515 0.416 0.774
168 O 0.518 0.245 0.174
169 O 0.521 0.083 0.163
170 O 0.523 0.749 0.106
171 O 0.529 0.922 0.843
172 O 0.530 0.409 0.497
173 O 0.530 0.741 0.830
174 O 0.533 0.589 0.510
175 O 0.559 0.098 0.840
176 O 0.559 0.429 0.174
177 O 0.559 0.560 0.113
178 O 0.561 0.228 0.779
179 O 0.562 0.763 0.508
180 O 0.563 0.893 0.447
181 O 0.569 0.095 0.565
182 O 0.569 0.763 0.227
183 O 0.570 0.430 0.896
184 O 0.573 0.909 0.161
185 O 0.575 0.241 0.495
186 O 0.576 0.573 0.828
187 O 0.685 0.910 0.660
188 O 0.690 0.241 0.994
189 O 0.691 0.764 0.727
190 O 0.692 0.575 0.324
191 O 0.693 0.431 0.395
192 O 0.695 0.092 0.063
193 O 0.703 0.559 0.615
194 O 0.703 0.891 0.947
195 O 0.704 0.228 0.279
196 O 0.705 0.096 0.341
197 O 0.705 0.427 0.674
198 O 0.707 0.761 0.009
199 O 0.730 0.587 0.012
200 O 0.732 0.412 0.996
201 O 0.738 0.740 0.329
202 O 0.739 0.922 0.342
203 O 0.744 0.082 0.664
204 O 0.745 0.245 0.675
205 O 0.750 0.077 0.941
206 O 0.751 0.747 0.608
207 O 0.756 0.244 0.389
208 O 0.757 0.411 0.277
209 O 0.759 0.573 0.725
210 O 0.761 0.909 0.056
211 O 0.799 0.317 0.176
212 O 0.802 0.991 0.842
213 O 0.806 0.657 0.509
214 O 0.807 0.346 0.775
215 O 0.815 0.014 0.439
216 O 0.817 0.010 0.162
217 O 0.818 0.342 0.495
218 O 0.818 0.675 0.829
219 O 0.822 0.677 0.113
220 O 0.822 0.971 0.560
221 O 0.824 0.305 0.894
222 O 0.830 0.644 0.225
223 O 0.934 0.145 0.726
224 O 0.940 0.805 0.394
225 O 0.942 0.178 0.614
226 O 0.944 0.176 0.329
227 O 0.947 0.508 0.663
228 O 0.948 0.472 0.059
229 O 0.948 0.843 0.995
230 O 0.949 0.514 0.939
231 O 0.956 0.154 0.009
232 O 0.958 0.845 0.274
233 O 0.962 0.818 0.676
234 O 0.964 0.488 0.343

2.
## RbZr6CI14 (PBE)

Data for a relaxed RbZr6CI14 crystal.

Electronic total energy in eV per atom: -4.790

Unit cell a=16.157 b=14.832 c=13.141 alpha=90.00 beta=90.00 gamma=90.00
Space group Cmce (No. 64)
One atom of each set of equivalent atoms:
1 Rb 0.000 0.000 0.000
2 Zr 0.000 0.128 0.406
3 Zr 0.103 0.062 0.606
4 C 0.000 0.000 0.500
5 I 0.000 0.153 0.759
6 I 0.123 0.088 0.253
7 I 0.124 0.237 0.506
8 I 0.249 0.000 0.500
9 I 0.250 0.148 0.750